# 1
Computed, not measured: a relaxed BaLa2ZnO5 crystal at the GGA-PBE level of DFT.

Cell: 6.9452 6.9452 11.7351 Å, 90.00 90.00 90.00°
Closest atoms and distances in Å follow each position.
Space group I4/mcm (No. 140)
One atom of each set of equivalent atoms:
Ba (0.0000, 0.0000, 0.2500) x4  10 O 2.93-2.99
La (0.1764, 0.3236, 0.0000) x8  4 O 2.34-2.56
Zn (0.0000, 0.5000, 0.2500) x4  4 O 1.99
O (0.0000, 0.0000, 0.0000) x4  4 La 2.56
O (0.1458, 0.3542, 0.3672) x16  1 Zn 1.99

E = -7.01 eV/atom
ρ = 6.58 g/cm³
Formation energy = -3.19 eV/atom

=====

# 2
Computed, not measured: a relaxed BaLaSb2Se6 crystal at the GGA-PBE level of DFT.

Cell: 4.4303 15.4614 17.1016 Å, 90.00 92.81 90.00°
Closest atoms and distances in Å follow each position.
Space group P2_1/c (No. 14)
One atom of each set of equivalent atoms:
Ba (0.2386, 0.2093, 0.3278) x4  8 Se 3.30-3.62
La (0.2062, 0.1269, 0.5930) x4  9 Se 3.06-3.36
Sb (0.2037, 0.6305, 0.4735) x4  3 Se 2.65-2.81
Sb (0.2308, 0.5271, 0.6967) x4  3 Se 2.67-2.74
Se (0.1716, 0.5320, 0.2047) x4  1 Sb 2.67
Se (0.1990, 0.0871, 0.9107) x4  2 Sb 2.74-2.81
Se (0.2507, 0.1713, 0.1275) x4  1 Sb 2.66
Se (0.2673, 0.7071, 0.0217) x4  1 Sb 2.65
Se (0.2782, 0.6742, 0.7798) x4  1 Sb 2.69
Se (0.3256, 0.0128, 0.4415) x4  1 Se 2.50

E = -4.71 eV/atom
ρ = 5.64 g/cm³
Formation energy = -1.38 eV/atom